! CsFeO2, relaxed, DFT PBE with a Hubbard U; values from VASP
&SYSTEM
  ibrav = 0, nat = 64, ntyp = 3
/
ATOMIC_SPECIES
Cs 132.91 Cs.upf
Fe 55.84 Fe.upf
O 16.00 O.upf
CELL_PARAMETERS angstrom
6.046 0.000 0.000
0.000 12.134 0.000
0.000 0.000 17.149
ATOMIC_POSITIONS crystal
Cs 0.211 0.245 0.187
Cs 0.211 0.255 0.687
Cs 0.250 0.005 0.563
Cs 0.250 0.495 0.063
Cs 0.250 0.505 0.563
Cs 0.250 0.995 0.063
Cs 0.289 0.745 0.187
Cs 0.289 0.755 0.687
Cs 0.711 0.245 0.313
Cs 0.711 0.255 0.813
Cs 0.750 0.005 0.937
Cs 0.750 0.495 0.437
Cs 0.750 0.505 0.937
Cs 0.750 0.995 0.437
Cs 0.789 0.745 0.313
Cs 0.789 0.755 0.813
Fe 0.225 0.244 0.438
Fe 0.225 0.256 0.938
Fe 0.242 0.003 0.812
Fe 0.242 0.497 0.312
Fe 0.258 0.503 0.812
Fe 0.258 0.997 0.312
Fe 0.275 0.744 0.438
Fe 0.275 0.756 0.938
Fe 0.725 0.244 0.062
Fe 0.725 0.256 0.562
Fe 0.742 0.003 0.688
Fe 0.742 0.497 0.188
Fe 0.758 0.503 0.688
Fe 0.758 0.997 0.188
Fe 0.775 0.744 0.062
Fe 0.775 0.756 0.562
O 0.036 0.511 0.227
O 0.036 0.989 0.727
O 0.055 0.720 0.014
O 0.055 0.780 0.514
O 0.189 0.611 0.386
O 0.189 0.889 0.886
O 0.201 0.142 0.862
O 0.201 0.358 0.362
O 0.299 0.642 0.862
O 0.299 0.858 0.362
O 0.311 0.111 0.386
O 0.311 0.389 0.886
O 0.445 0.220 0.014
O 0.445 0.280 0.514
O 0.464 0.011 0.227
O 0.464 0.489 0.727
O 0.536 0.511 0.273
O 0.536 0.989 0.773
O 0.555 0.720 0.486
O 0.555 0.780 0.986
O 0.689 0.611 0.114
O 0.689 0.889 0.614
O 0.701 0.142 0.638
O 0.701 0.358 0.138
O 0.799 0.642 0.638
O 0.799 0.858 0.138
O 0.811 0.111 0.114
O 0.811 0.389 0.614
O 0.945 0.220 0.486
O 0.945 0.280 0.986
O 0.964 0.011 0.273
O 0.964 0.489 0.773
! - DFT formation energy (meV/atom) = -1686
! - SG = Pbca (61)
! - total energy (eV per atom) = -5.5935